[1]
# Zn17Co3 PBE optimized geometry
# V = 843.0 Å³ per cell
# Formation energy = -0.085 eV per atom
data_Zn17Co3
_chemical_formula_sum 'Zn51 Co9'
_space_group_name_H-M_alt 'P 1'
_space_group_IT_number 1
_space_group_name_Hall 'P 1'
_cell_length_a 11.252
_cell_length_b 11.252
_cell_length_c 7.689
_cell_angle_alpha 90.00
_cell_angle_beta 90.00
_cell_angle_gamma 120.00
loop_
_atom_site_label
_atom_site_type_symbol
_atom_site_fract_x
_atom_site_fract_y
_atom_site_fract_z
_atom_site_occupancy
Zn1 Zn 0.931 0.689 0.833 1
Zn2 Zn 0.758 0.069 0.166 1
Zn3 Zn 0.069 0.311 0.833 1
Zn4 Zn 0.311 0.242 0.500 1
Zn5 Zn 0.242 0.931 0.166 1
Zn6 Zn 0.689 0.758 0.500 1
Zn7 Zn 0.686 0.573 0.993 1
Zn8 Zn 0.887 0.314 0.326 1
Zn9 Zn 0.314 0.427 0.993 1
Zn10 Zn 0.427 0.113 0.660 1
Zn11 Zn 0.113 0.686 0.326 1
Zn12 Zn 0.573 0.887 0.660 1
Zn13 Zn 0.518 0.627 0.792 1
Zn14 Zn 0.109 0.482 0.125 1
Zn15 Zn 0.482 0.373 0.792 1
Zn16 Zn 0.373 0.891 0.459 1
Zn17 Zn 0.891 0.518 0.125 1
Zn18 Zn 0.627 0.109 0.459 1
Zn19 Zn 0.932 0.780 0.511 1
Zn20 Zn 0.847 0.068 0.844 1
Zn21 Zn 0.068 0.220 0.511 1
Zn22 Zn 0.220 0.153 0.178 1
Zn23 Zn 0.153 0.932 0.844 1
Zn24 Zn 0.780 0.847 0.178 1
Zn25 Zn 0.576 0.843 0.990 1
Zn26 Zn 0.267 0.424 0.323 1
Zn27 Zn 0.424 0.157 0.990 1
Zn28 Zn 0.157 0.733 0.656 1
Zn29 Zn 0.733 0.576 0.323 1
Zn30 Zn 0.843 0.267 0.656 1
Zn31 Zn 0.789 0.814 0.821 1
Zn32 Zn 0.025 0.211 0.155 1
Zn33 Zn 0.211 0.186 0.821 1
Zn34 Zn 0.186 0.975 0.488 1
Zn35 Zn 0.975 0.789 0.155 1
Zn36 Zn 0.814 0.025 0.488 1
Zn37 Zn 0.370 0.889 0.858 1
Zn38 Zn 0.519 0.630 0.191 1
Zn39 Zn 0.630 0.111 0.858 1
Zn40 Zn 0.111 0.481 0.524 1
Zn41 Zn 0.481 0.370 0.191 1
Zn42 Zn 0.889 0.519 0.524 1
Zn43 Zn 0.723 0.384 0.833 1
Zn44 Zn 0.661 0.277 0.166 1
Zn45 Zn 0.277 0.616 0.833 1
Zn46 Zn 0.616 0.339 0.500 1
Zn47 Zn 0.339 0.723 0.166 1
Zn48 Zn 0.384 0.661 0.500 1
Zn49 Zn 0.500 0.500 0.495 1
Zn50 Zn 0.000 0.500 0.828 1
Zn51 Zn 0.500 0.000 0.161 1
Co1 Co 0.715 0.575 0.662 1
Co2 Co 0.860 0.285 0.996 1
Co3 Co 0.285 0.425 0.662 1
Co4 Co 0.425 0.140 0.329 1
Co5 Co 0.140 0.715 0.996 1
Co6 Co 0.575 0.860 0.329 1
Co7 Co 0.000 0.000 0.000 1
Co8 Co 0.000 0.000 0.333 1
Co9 Co 0.000 0.000 0.667 1

[2]
# Zn3Co PBE optimized geometry
# V = 52.3 Å³ per cell
# Formation energy = -0.037 eV per atom
data_Zn3Co
_chemical_formula_sum 'Zn3 Co1'
_space_group_name_H-M_alt 'P 1'
_space_group_IT_number 1
_space_group_name_Hall 'P 1'
_cell_length_a 4.717
_cell_length_b 4.717
_cell_length_c 4.717
_cell_angle_alpha 134.64
_cell_angle_beta 134.64
_cell_angle_gamma 66.08
loop_
_atom_site_label
_atom_site_type_symbol
_atom_site_fract_x
_atom_site_fract_y
_atom_site_fract_z
_atom_site_occupancy
Zn1 Zn 0.750 0.250 0.500 1
Zn2 Zn 0.250 0.750 0.500 1
Zn3 Zn 0.500 0.500 0.000 1
Co1 Co 0.000 0.000 0.000 1

[3]
# Zn3Co PBE optimized geometry
# V = 52.1 Å³ per cell
# Formation energy = -0.055 eV per atom
data_Zn3Co
_chemical_formula_sum 'Zn3 Co1'
_space_group_name_H-M_alt 'P 1'
_space_group_IT_number 1
_space_group_name_Hall 'P 1'
_cell_length_a 3.734
_cell_length_b 3.734
_cell_length_c 3.734
_cell_angle_alpha 90.00
_cell_angle_beta 90.00
_cell_angle_gamma 90.00
loop_
_atom_site_label
_atom_site_type_symbol
_atom_site_fract_x
_atom_site_fract_y
_atom_site_fract_z
_atom_site_occupancy
Zn1 Zn 0.000 0.500 0.500 1
Zn2 Zn 0.500 0.000 0.500 1
Zn3 Zn 0.500 0.500 0.000 1
Co1 Co 0.000 0.000 0.000 1

[4]
# Zn3Co PBE optimized geometry
# V = 104.9 Å³ per cell
# Formation energy = -0.052 eV per atom
data_Zn3Co
_chemical_formula_sum 'Zn6 Co2'
_space_group_name_H-M_alt 'P 1'
_space_group_IT_number 1
_space_group_name_Hall 'P 1'
_cell_length_a 5.322
_cell_length_b 5.322
_cell_length_c 4.277
_cell_angle_alpha 90.00
_cell_angle_beta 90.00
_cell_angle_gamma 120.00
loop_
_atom_site_label
_atom_site_type_symbol
_atom_site_fract_x
_atom_site_fract_y
_atom_site_fract_z
_atom_site_occupancy
Zn1 Zn 0.171 0.342 0.250 1
Zn2 Zn 0.658 0.829 0.250 1
Zn3 Zn 0.171 0.829 0.250 1
Zn4 Zn 0.829 0.658 0.750 1
Zn5 Zn 0.342 0.171 0.750 1
Zn6 Zn 0.829 0.171 0.750 1
Co1 Co 0.333 0.667 0.750 1
Co2 Co 0.667 0.333 0.250 1

[5]
# ZnCo PBE optimized geometry
# V = 24.6 Å³ per cell
# Formation energy = 0.037 eV per atom
data_ZnCo
_chemical_formula_sum 'Zn1 Co1'
_space_group_name_H-M_alt 'P 1'
_space_group_IT_number 1
_space_group_name_Hall 'P 1'
_cell_length_a 2.607
_cell_length_b 2.607
_cell_length_c 4.172
_cell_angle_alpha 90.00
_cell_angle_beta 90.00
_cell_angle_gamma 120.00
loop_
_atom_site_label
_atom_site_type_symbol
_atom_site_fract_x
_atom_site_fract_y
_atom_site_fract_z
_atom_site_occupancy
Zn1 Zn 0.667 0.333 0.000 1
Co1 Co 0.000 0.000 0.500 1

[6]
# ZnCo2 PBE optimized geometry
# V = 35.5 Å³ per cell
# Formation energy = 0.020 eV per atom
data_ZnCo2
_chemical_formula_sum 'Zn1 Co2'
_space_group_name_H-M_alt 'P 1'
_space_group_IT_number 1
_space_group_name_Hall 'P 1'
_cell_length_a 2.570
_cell_length_b 2.570
_cell_length_c 6.207
_cell_angle_alpha 90.00
_cell_angle_beta 90.00
_cell_angle_gamma 120.00
loop_
_atom_site_label
_atom_site_type_symbol
_atom_site_fract_x
_atom_site_fract_y
_atom_site_fract_z
_atom_site_occupancy
Zn1 Zn 0.000 0.000 0.000 1
Co1 Co 0.333 0.667 0.653 1
Co2 Co 0.667 0.333 0.347 1

Which total energy belongs to each record? In order, -133.342, -11.035, -11.107, -22.191, -8.295, -15.416 eV per cell.